# 1
# MgFe4O4F4, optimized geometry, DFT GGA+U
# E in eV/atom: -5.955
# Formation enthalpy at 0 K in eV per atom: -2.162
# Corrected total energy (MP2020 scheme) in eV per atom: -7.003
# Calculated density in g/cm3: 4.2
data_MgFe4O4F4
_chemical_formula_sum 'Mg1 Fe4 O4 F4'
_space_group_name_H-M_alt 'P 1 2/m 1'
_space_group_IT_number 10
_cell_length_a 5.1421
_cell_length_b 3.0772
_cell_length_c 9.7256
_cell_angle_alpha 90.00
_cell_angle_beta 94.01
_cell_angle_gamma 90.00
loop_
_space_group_symop_operation_xyz
'x,y,z'
'-x,-y,-z'
'-x,y,-z'
'x,-y,z'
loop_
_atom_site_label
_atom_site_type_symbol
_atom_site_fract_x
_atom_site_fract_y
_atom_site_fract_z
Mg1 Mg 0.0000 0.0000 0.0000
Fe1 Fe 0.0747 0.5000 0.7241
Fe2 Fe 0.5000 0.0000 0.0000
Fe3 Fe 0.5000 0.0000 0.5000
O1 O 0.2383 0.5000 0.9256
O2 O 0.2406 0.0000 0.6559
F1 F 0.1827 0.0000 0.1807
F2 F 0.2530 0.5000 0.4034

---

# 2
# MgFe4O4F4, optimized geometry, DFT GGA+U
# E in eV/atom: -5.956
# Formation enthalpy at 0 K in eV per atom: -2.163
# Corrected total energy (MP2020 scheme) in eV per atom: -7.004
# Calculated density in g/cm3: 4.1
data_MgFe4O4F4
_chemical_formula_sum 'Mg1 Fe4 O4 F4'
_space_group_name_H-M_alt 'P 1'
_space_group_IT_number 1
_cell_length_a 3.0512
_cell_length_b 6.7372
_cell_length_c 7.7236
_cell_angle_alpha 90.54
_cell_angle_beta 90.53
_cell_angle_gamma 91.02
loop_
_space_group_symop_operation_xyz
'x,y,z'
loop_
_atom_site_label
_atom_site_type_symbol
_atom_site_fract_x
_atom_site_fract_y
_atom_site_fract_z
Mg1 Mg 0.0000 0.0000 0.0000
Fe1 Fe 0.4899 0.7724 0.2908
Fe2 Fe 0.4949 0.2566 0.7669
Fe3 Fe 0.9767 0.2477 0.2870
Fe4 Fe 0.9874 0.7722 0.6930
O1 O 0.4912 0.9504 0.8150
O2 O 0.5020 0.0498 0.1970
O3 O 0.9928 0.7913 0.4383
O4 O 0.9985 0.2801 0.9187
F1 F 0.4625 0.4602 0.2944
F2 F 0.4851 0.5501 0.7074
F3 F 0.9802 0.2282 0.5682
F4 F 0.9837 0.7276 0.1000

---

# 3
# MgFe6O11F, optimized geometry, DFT GGA+U
# E in eV/atom: -6.228
# Formation enthalpy at 0 K in eV per atom: -1.638
# Corrected total energy (MP2020 scheme) in eV per atom: -7.363
# Calculated density in g/cm3: 4.2
data_MgFe6O11F
_chemical_formula_sum 'Mg1 Fe6 O11 F1'
_space_group_name_H-M_alt 'P 1'
_space_group_IT_number 1
_cell_length_a 5.7417
_cell_length_b 5.9164
_cell_length_c 7.2789
_cell_angle_alpha 69.63
_cell_angle_beta 71.67
_cell_angle_gamma 80.61
loop_
_space_group_symop_operation_xyz
'x,y,z'
loop_
_atom_site_label
_atom_site_type_symbol
_atom_site_fract_x
_atom_site_fract_y
_atom_site_fract_z
Mg1 Mg 0.0000 0.0000 0.0000
Fe1 Fe 0.0277 0.5327 0.4818
Fe2 Fe 0.0594 0.4857 0.9856
Fe3 Fe 0.3820 0.8579 0.1704
Fe4 Fe 0.4227 0.7981 0.6424
Fe5 Fe 0.6309 0.2121 0.8040
Fe6 Fe 0.6358 0.2584 0.3210
O1 O 0.0440 0.8616 0.2917
O2 O 0.1378 0.6098 0.6942
O3 O 0.2593 0.7384 0.9398
O4 O 0.2965 0.1861 0.9846
O5 O 0.3836 0.5219 0.3253
O6 O 0.4662 0.9825 0.3549
O7 O 0.5825 0.0902 0.6066
O8 O 0.6796 0.5426 0.6366
O9 O 0.6944 0.8816 0.9904
O10 O 0.7849 0.3047 0.0287
O11 O 0.9261 0.4245 0.2757
F1 F 0.0192 0.1762 0.6862

---

# 4
# MgFe12O12F12, optimized geometry, DFT GGA+U
# E in eV/atom: -5.990
# Formation enthalpy at 0 K in eV per atom: -2.078
# Corrected total energy (MP2020 scheme) in eV per atom: -7.094
# Calculated density in g/cm3: 4.2
data_MgFe12O12F12
_chemical_formula_sum 'Mg1 Fe12 O12 F12'
_space_group_name_H-M_alt 'P 1'
_space_group_IT_number 1
_cell_length_a 3.0895
_cell_length_b 9.7407
_cell_length_c 14.5002
_cell_angle_alpha 89.67
_cell_angle_beta 89.23
_cell_angle_gamma 89.31
loop_
_space_group_symop_operation_xyz
'x,y,z'
loop_
_atom_site_label
_atom_site_type_symbol
_atom_site_fract_x
_atom_site_fract_y
_atom_site_fract_z
Mg1 Mg 0.0000 0.0000 0.0000
Fe1 Fe 0.3893 0.7243 0.6772
Fe2 Fe 0.4054 0.2479 0.6636
Fe3 Fe 0.4066 0.7228 0.3261
Fe4 Fe 0.4128 0.2623 0.3320
Fe5 Fe 0.4239 0.7249 0.9891
Fe6 Fe 0.4505 0.2659 0.9762
Fe7 Fe 0.8250 0.9554 0.8217
Fe8 Fe 0.9022 0.4587 0.5009
Fe9 Fe 0.9016 0.9804 0.4994
Fe10 Fe 0.9058 0.9654 0.1880
Fe11 Fe 0.9119 0.4730 0.8140
Fe12 Fe 0.9245 0.4871 0.1791
O1 O 0.3459 0.8887 0.7566
O2 O 0.4079 0.3909 0.4331
O3 O 0.4144 0.9288 0.1043
O4 O 0.4158 0.3774 0.7625
O5 O 0.4177 0.5764 0.2367
O6 O 0.4906 0.0797 0.9198
O7 O 0.8921 0.6305 0.7257
O8 O 0.9049 0.8330 0.9294
O9 O 0.9064 0.8223 0.2748
O10 O 0.9067 0.3227 0.5979
O11 O 0.9157 0.3266 0.2626
O12 O 0.9451 0.3534 0.9285
F1 F 0.3988 0.5776 0.5607
F2 F 0.4005 0.8744 0.4321
F3 F 0.4029 0.0781 0.5695
F4 F 0.4061 0.0771 0.2498
F5 F 0.4132 0.5767 0.8840
F6 F 0.4354 0.4000 0.0995
F7 F 0.8900 0.8164 0.5969
F8 F 0.8917 0.1324 0.7304
F9 F 0.9044 0.6355 0.4036
F10 F 0.9047 0.1444 0.3975
F11 F 0.9415 0.6321 0.0712
F12 F 0.9479 0.1729 0.0681

---

# 5
# MgFe12O12F12, optimized geometry, DFT GGA+U
# E in eV/atom: -5.979
# Formation enthalpy at 0 K in eV per atom: -2.067
# Corrected total energy (MP2020 scheme) in eV per atom: -7.083
# Calculated density in g/cm3: 4.2
data_MgFe12O12F12
_chemical_formula_sum 'Mg1 Fe12 O12 F12'
_space_group_name_H-M_alt 'P 1'
_space_group_IT_number 1
_cell_length_a 3.0832
_cell_length_b 9.6582
_cell_length_c 14.6238
_cell_angle_alpha 90.54
_cell_angle_beta 90.03
_cell_angle_gamma 90.01
loop_
_space_group_symop_operation_xyz
'x,y,z'
loop_
_atom_site_label
_atom_site_type_symbol
_atom_site_fract_x
_atom_site_fract_y
_atom_site_fract_z
Mg1 Mg 0.0000 0.0000 0.0000
Fe1 Fe 0.4891 0.5115 0.1834
Fe2 Fe 0.4926 0.5204 0.5093
Fe3 Fe 0.4936 0.0025 0.1759
Fe4 Fe 0.4940 0.5011 0.8069
Fe5 Fe 0.4938 0.9907 0.5324
Fe6 Fe 0.4975 0.0236 0.8231
Fe7 Fe 0.9883 0.2680 0.0013
Fe8 Fe 0.9906 0.7207 0.0241
Fe9 Fe 0.9912 0.7251 0.3464
Fe10 Fe 0.9921 0.2405 0.3542
Fe11 Fe 0.9936 0.7367 0.6673
Fe12 Fe 0.9952 0.2444 0.6700
O1 O 0.4907 0.6471 0.2795
O2 O 0.4918 0.8568 0.0596
O3 O 0.4932 0.6431 0.6139
O4 O 0.4948 0.1547 0.6043
O5 O 0.4951 0.3476 0.7284
O6 O 0.4974 0.1167 0.9491
O7 O 0.9891 0.5909 0.1177
O8 O 0.9924 0.5986 0.4454
O9 O 0.9936 0.0921 0.1202
O10 O 0.9941 0.6109 0.7776
O11 O 0.9938 0.8911 0.5762
O12 O 0.9972 0.1020 0.7722
F1 F 0.4870 0.3565 0.0820
F2 F 0.4904 0.6383 0.9534
F3 F 0.4923 0.1353 0.2821
F4 F 0.4924 0.3533 0.4119
F5 F 0.4920 0.8457 0.4007
F6 F 0.4942 0.8521 0.7386
F7 F 0.9872 0.4063 0.8982
F8 F 0.9894 0.3937 0.2433
F9 F 0.9921 0.8938 0.2398
F10 F 0.9930 0.0806 0.4444
F11 F 0.9933 0.4021 0.5643
F12 F 0.9933 0.8826 0.8938

---

# 6
# MgFe12O12F12, optimized geometry, DFT GGA+U
# E in eV/atom: -5.979
# Formation enthalpy at 0 K in eV per atom: -2.067
# Corrected total energy (MP2020 scheme) in eV per atom: -7.083
# Calculated density in g/cm3: 4.1
data_MgFe12O12F12
_chemical_formula_sum 'Mg1 Fe12 O12 F12'
_space_group_name_H-M_alt 'P 1 m 1'
_space_group_IT_number 6
_cell_length_a 9.6721
_cell_length_b 3.1157
_cell_length_c 14.8557
_cell_angle_alpha 90.00
_cell_angle_beta 92.18
_cell_angle_gamma 90.00
loop_
_space_group_symop_operation_xyz
'x,y,z'
'x,-y,z'
loop_
_atom_site_label
_atom_site_type_symbol
_atom_site_fract_x
_atom_site_fract_y
_atom_site_fract_z
Mg1 Mg 0.0000 0.0000 0.0000
Fe1 Fe 0.2330 0.0000 0.3304
Fe2 Fe 0.2360 0.0000 0.6595
Fe3 Fe 0.3385 0.0000 0.9814
Fe4 Fe 0.4405 0.5000 0.1770
Fe5 Fe 0.4705 0.5000 0.4739
Fe6 Fe 0.4732 0.5000 0.8038
Fe7 Fe 0.6980 0.0000 0.0002
Fe8 Fe 0.7194 0.0000 0.3423
Fe9 Fe 0.7442 0.0000 0.6441
Fe10 Fe 0.9576 0.5000 0.4893
Fe11 Fe 0.9622 0.5000 0.2111
Fe12 Fe 0.9826 0.5000 0.7818
O1 O 0.0681 0.0000 0.2392
O2 O 0.1423 0.5000 0.7129
O3 O 0.3170 0.5000 0.2746
O4 O 0.3651 0.5000 0.9078
O5 O 0.3667 0.0000 0.4347
O6 O 0.3729 0.0000 0.1103
O7 O 0.3974 0.0000 0.7428
O8 O 0.6232 0.5000 0.3975
O9 O 0.8003 0.5000 0.2711
O10 O 0.8300 0.5000 0.5920
O11 O 0.8746 0.0000 0.7520
O12 O 0.8815 0.0000 0.4310
F1 F 0.0593 0.0000 0.8757
F2 F 0.0822 0.0000 0.5560
F3 F 0.1005 0.5000 0.0425
F4 F 0.1227 0.5000 0.3987
F5 F 0.3257 0.5000 0.5898
F6 F 0.5634 0.0000 0.2325
F7 F 0.5713 0.0000 0.5597
F8 F 0.6070 0.0000 0.8747
F9 F 0.6112 0.5000 0.0656
F10 F 0.6371 0.5000 0.7138
F11 F 0.8513 0.5000 0.9552
F12 F 0.8738 0.0000 0.1026

---

# 7
# MgFe6O10F2, optimized geometry, DFT GGA+U
# E in eV/atom: -6.163
# Formation enthalpy at 0 K in eV per atom: -1.721
# Corrected total energy (MP2020 scheme) in eV per atom: -7.285
# Calculated density in g/cm3: 4.3
data_MgFe6O10F2
_chemical_formula_sum 'Mg1 Fe6 O10 F2'
_space_group_name_H-M_alt 'P 1 m 1'
_space_group_IT_number 6
_cell_length_a 5.1090
_cell_length_b 2.9908
_cell_length_c 14.2999
_cell_angle_alpha 90.00
_cell_angle_beta 98.90
_cell_angle_gamma 90.00
loop_
_space_group_symop_operation_xyz
'x,y,z'
'x,-y,z'
loop_
_atom_site_label
_atom_site_type_symbol
_atom_site_fract_x
_atom_site_fract_y
_atom_site_fract_z
Mg1 Mg 0.0000 0.0000 0.0000
Fe1 Fe 0.0199 0.5000 0.2125
Fe2 Fe 0.0659 0.5000 0.5299
Fe3 Fe 0.1948 0.5000 0.8149
Fe4 Fe 0.4979 0.0000 0.0461
Fe5 Fe 0.5844 0.0000 0.3514
Fe6 Fe 0.6310 0.0000 0.6757
O1 O 0.2433 0.0000 0.2590
O2 O 0.2772 0.0000 0.5875
O3 O 0.2774 0.5000 0.0726
O4 O 0.2800 0.0000 0.9153
O5 O 0.4829 0.5000 0.7446
O6 O 0.7423 0.5000 0.2913
O7 O 0.7768 0.5000 0.6108
O8 O 0.8365 0.0000 0.1207
O9 O 0.9086 0.0000 0.4553
O10 O 0.9635 0.0000 0.7680
F1 F 0.4217 0.5000 0.4220
F2 F 0.7545 0.5000 0.9598

---

We obtain polymorph energy (0 for the lowest one) values of 46, 45, 7, 16, 26, 26, 51 meV per atom for the records listed above, in that order.